(1)
Entry from the Materials Project: a relaxed Zn4CdS5 crystal (PBE).

abc: 3.6622 3.6622 45.0863
angles: 90.00 90.00 120.00
Space group R-3m (No. 166, hexagonal axes)
Asymmetric unit:
Zn 0.0000 0.0000 0.0972
Zn 0.0000 0.0000 0.3008
Cd 0.0000 0.0000 0.5000
S 0.0000 0.0000 0.0000
S 0.0000 0.0000 0.2044
S 0.0000 0.0000 0.3982

Results
- energy above the lowest structure with this stoichiometry (meV/atom) = 273.8
- total moment (μB/f.u.) = 0.00

(2)
Entry from the Materials Project: a relaxed SrNb2Bi2O9 crystal (PBE).

abc: 25.405 5.648 5.688
angles: 90.00 90.00 90.00
Space group Cmc2_1 (No. 36)
Asymmetric unit:
Sr 0.000 0.248 0.000
Nb 0.083 0.251 0.492
Bi 0.200 0.214 0.082
O 0.000 0.306 0.451
O 0.065 0.024 0.733
O 0.086 0.471 0.186
O 0.155 0.169 0.454
O 0.249 0.478 0.291

Results
- total moment (μB/f.u.) = 0.00
- raw total energy (eV/cell) = -422.20

(3)
Entry from the Materials Project: a relaxed PtN2Cl6 crystal (PBE).

abc: 9.624 9.624 9.624
angles: 90.00 90.00 90.00
Space group Fm-3m (No. 225)
Asymmetric unit:
Pt 0.000 0.000 0.000
N 0.250 0.250 0.250
Cl 0.000 0.000 0.241

Results
- total moment (μB/f.u.) = 4.01
- raw total energy (eV/cell) = -96.81

(4)
Entry from the Materials Project: a relaxed TeO2 crystal (PBE).

abc: 5.599 5.748 12.285
angles: 90.00 90.00 90.00
Space group Pbca (No. 61)
Asymmetric unit:
Te 0.030 0.121 0.116
O 0.144 0.162 0.970
O 0.223 0.087 0.668

Results
- raw total energy (eV/cell) = -129.19